# 1
VASP calculation (GGA-PBE) on a geometry-optimized TiTlPO5 structure.

Cell lengths 6.5736, 10.6981, 13.1161 Å; angles 90.00, 90.00, 90.00 degrees
Last column: nearest neighbours and their distance in Å.
Fractional coordinates of all 64 atoms:
1 O 0.5452 0.6260 0.2527  1 P 1.56
2 Tl 0.6937 0.0746 0.1026  4 O 2.73-3.04
3 O 0.5382 0.8839 0.4865  1 P 1.56
4 Tl 0.1937 0.5746 0.3974  4 O 2.73-3.04
5 O 0.1852 0.5414 0.6154  1 P 1.55
6 O 0.0140 0.1492 0.9856  1 P 1.54
7 Ti 0.2354 0.2534 0.7452  5 O 1.82-2.03
8 P 0.3385 0.2602 0.4988  4 O 1.54-1.56
9 O 0.6949 0.4850 0.1150  1 P 1.55
10 P 0.0046 0.0117 0.3189  4 O 1.55-1.56
11 Tl 0.3063 0.5746 0.8974  4 O 2.73-3.04
12 O 0.4548 0.1260 0.7473  1 P 1.56
13 Ti 0.5008 0.5038 0.6299  2 O 1.78-1.92
14 O 0.9495 0.8869 0.7775  1 Ti 1.78
15 O 0.2931 0.2783 0.9013  1 P 1.56
16 O 0.6852 0.0414 0.8846  1 P 1.55
17 O 0.9548 0.6260 0.7527  1 P 1.56
18 O 0.4618 0.3839 0.5135  1 P 1.56
19 O 0.9621 0.8966 0.2493  1 P 1.56
20 P 0.1615 0.2602 0.9988  4 O 1.54-1.56
21 Ti 0.7646 0.7534 0.2548  5 O 1.82-2.03
22 O 0.3051 0.9850 0.8850  1 P 1.55
23 O 0.4612 0.1406 0.2775  2 Ti 1.82-1.92
24 O 0.0505 0.3869 0.2225  1 Ti 1.78
25 O 0.8051 0.4850 0.6150  1 P 1.55
26 P 0.4954 0.0117 0.8189  4 O 1.55-1.56
27 Ti 0.4992 0.0038 0.3701  2 O 1.78-1.92
28 O 0.4860 0.1492 0.4856  1 P 1.54
29 O 0.0388 0.1406 0.7775  2 Ti 1.82-1.92
30 O 0.7069 0.7783 0.0987  1 P 1.56
31 O 0.0452 0.1260 0.2473  1 P 1.56
32 O 0.8148 0.0414 0.3846  1 P 1.55
33 Ti 0.0008 0.0038 0.8701  2 O 1.78-1.92
34 O 0.5505 0.8869 0.2775  1 Ti 1.78
35 O 0.2992 0.2386 0.0943  1 P 1.56
36 O 0.2069 0.2783 0.4013  1 P 1.56
37 Ti 0.2646 0.2534 0.2452  5 O 1.82-2.03
38 O 0.1949 0.9850 0.3850  1 P 1.55
39 O 0.3148 0.5414 0.1154  1 P 1.55
40 Tl 0.7121 0.3288 0.8827  6 O 2.79-3.08
41 O 0.5388 0.6406 0.7225  2 Ti 1.82-1.92
42 Ti 0.7354 0.7534 0.7548  5 O 1.82-2.03
43 O 0.5140 0.6492 0.5144  1 P 1.54
44 Tl 0.7879 0.3288 0.3827  6 O 2.79-3.08
45 P 0.6615 0.7602 0.5012  4 O 1.54-1.56
46 O 0.9860 0.6492 0.0144  1 P 1.54
47 O 0.4621 0.3966 0.2507  1 P 1.56
48 Ti 0.9992 0.5038 0.1299  2 O 1.78-1.92
49 P 0.8385 0.7602 0.0012  4 O 1.54-1.56
50 O 0.0379 0.3966 0.7507  1 P 1.56
51 O 0.9612 0.6406 0.2225  2 Ti 1.82-1.92
52 Tl 0.2121 0.8288 0.6173  6 O 2.79-3.08
53 O 0.7931 0.7783 0.5987  1 P 1.56
54 P 0.5046 0.5117 0.1811  4 O 1.55-1.56
55 Tl 0.8063 0.0746 0.6026  4 O 2.73-3.04
56 O 0.9618 0.8839 0.9865  1 P 1.56
57 O 0.4495 0.3869 0.7225  1 Ti 1.78
58 P 0.9954 0.5117 0.6811  4 O 1.55-1.56
59 O 0.0382 0.3839 0.0135  1 P 1.56
60 Tl 0.2879 0.8288 0.1173  6 O 2.79-3.08
61 O 0.2008 0.2386 0.5943  1 P 1.56
62 O 0.7992 0.7386 0.4057  1 P 1.56
63 O 0.7008 0.7386 0.9057  1 P 1.56
64 O 0.5379 0.8966 0.7493  1 P 1.56

Values from the calculation:
Its total magnetization is 0.0 μB/f.u. The formation energy is -2.788 eV per atom. As for the energy above the most stable polymorph in this dataset: 0.0000 eV per atom.


# 2
VASP calculation (GGA-PBE) on a geometry-optimized Er5BiPd2 structure.

Cell lengths 8.8207, 8.8207, 8.8207 Å; angles 127.92, 127.92, 76.76 degrees
Last column: nearest neighbours and their distance in Å.
Fractional coordinates of all 16 atoms:
1 Er 0.7946 0.2946 0.8115  3 Pd 2.96-2.98, 2 Bi 3.31
2 Pd 0.1382 0.6382 0.7763  8 Er 2.96-3.00, 1 Pd 3.03
3 Er 0.2946 0.4831 0.5000  3 Pd 2.96-2.98, 2 Bi 3.31
4 Pd 0.3618 0.1382 0.5000  8 Er 2.96-3.00, 1 Pd 3.03
5 Er 0.0169 0.2054 0.5000  3 Pd 2.96-2.98, 2 Bi 3.31
6 Er 0.7054 0.5169 0.5000  3 Pd 2.96-2.98, 2 Bi 3.31
7 Er 0.2054 0.7054 0.1885  3 Pd 2.96-2.98, 2 Bi 3.31
8 Er 0.5169 0.0169 0.8115  3 Pd 2.96-2.98, 2 Bi 3.31
9 Bi 0.2500 0.2500 0.0000  10 Er 3.31-3.46
10 Er 0.5000 0.5000 0.0000  4 Pd 3.00
11 Pd 0.8618 0.3618 0.2237  8 Er 2.96-3.00, 1 Pd 3.03
12 Pd 0.6382 0.8618 0.5000  8 Er 2.96-3.00, 1 Pd 3.03
13 Bi 0.7500 0.7500 0.0000  10 Er 3.31-3.46
14 Er 0.9831 0.7946 0.5000  3 Pd 2.96-2.98, 2 Bi 3.31
15 Er 0.0000 0.0000 0.0000  4 Pd 3.00
16 Er 0.4831 0.9831 0.1885  3 Pd 2.96-2.98, 2 Bi 3.31

Values from the calculation:
The formation energy is -0.703 eV per atom.


# 3
VASP calculation (GGA-PBE) on a geometry-optimized Al3As structure.

Cell lengths 4.1258, 4.1258, 4.1258 Å; angles 90.00, 90.00, 90.00 degrees
Last column: nearest neighbours and their distance in Å.
Fractional coordinates of all 4 atoms:
1 Al 0.5000 0.5000 0.0000  4 As 2.92, 8 Al 2.92
2 Al 0.0000 0.5000 0.5000  4 As 2.92, 8 Al 2.92
3 Al 0.5000 0.0000 0.5000  4 As 2.92, 8 Al 2.92
4 As 0.0000 0.0000 0.0000  12 Al 2.92

Values from the calculation:
Its total magnetization is 0.0 μB/f.u. The formation energy is 0.121 eV per atom.


# 4
VASP calculation (GGA-PBE) on a geometry-optimized Mg5Ga structure.

Cell lengths 6.1384, 6.1384, 7.2286 Å; angles 76.99, 76.99, 29.35 degrees
Last column: nearest neighbours and their distance in Å.
Fractional coordinates of all 6 atoms:
1 Mg 0.6672 0.6672 0.6640  1 Ga 3.01, 11 Mg 3.09-3.25
2 Mg 0.3312 0.3312 0.3316  9 Mg 2.99-3.15, 3 Ga 3.15-3.25
3 Ga 0.6101 0.6101 0.2795  10 Mg 3.01-3.25, 2 Ga 3.11
4 Mg 0.9469 0.9469 0.6057  10 Mg 3.08-3.25, 2 Ga 3.10
5 Mg 0.0019 0.0019 0.0041  2 Ga 3.04, 10 Mg 3.10-3.21
6 Mg 0.2760 0.2760 0.9485  10 Mg 2.99-3.22, 2 Ga 3.14

Values from the calculation:
The formation energy is -0.030 eV per atom. As for the energy above the most stable polymorph in this dataset: 0.0039 eV per atom.


# 5
VASP calculation (GGA-PBE) on a geometry-optimized CaY4Bi4O12 structure.

Cell lengths 6.2909, 5.9150, 9.3601 Å; angles 89.85, 84.94, 89.73 degrees
Last column: nearest neighbours and their distance in Å.
Fractional coordinates of all 21 atoms:
1 Y 0.5271 0.5012 0.3243  6 O 2.21-2.45
2 O 0.3035 0.7968 0.2384  1 Bi 2.31, 1 Ca 2.36, 2 Y 2.42-2.44
3 O 0.7276 0.1630 0.8148  2 Bi 2.21-2.38, 1 Y 2.36
4 O 0.3338 0.6691 0.5376  2 Bi 2.25-2.40, 2 Y 2.35-2.45
5 Ca 0.2300 0.5339 0.0598  5 O 2.33-2.54
6 O 0.7227 0.2671 0.1839  2 Y 2.21-2.23, 1 Bi 2.44
7 Bi 0.4339 0.9933 0.4249  3 O 2.25-2.31
8 O 0.2880 0.2221 0.9103  1 Bi 2.19, 1 Ca 2.33, 2 Y 2.41
9 O 0.6568 0.3201 0.5095  2 Y 2.25-2.27, 1 Bi 2.37
10 Bi 0.7997 0.4783 0.9607  4 O 2.38-2.47
11 Bi 0.5215 0.9784 0.9786  3 O 2.19-2.24
12 Bi 0.9954 0.4890 0.5217  4 O 2.21-2.40
13 O 0.1810 0.2202 0.6229  1 Bi 2.23, 2 Y 2.29-2.38
14 O 0.7438 0.8044 0.3526  2 Y 2.23-2.29, 1 Bi 2.29
15 Y 0.0572 0.9677 0.7960  6 O 2.28-2.41
16 O 0.9579 0.8431 0.0231  2 Y 2.16-2.28
17 Y 0.9792 0.0199 0.2230  4 O 2.16-2.34
18 Y 0.4608 0.4319 0.7129  5 O 2.27-2.41
19 O 0.3436 0.7433 0.8457  1 Bi 2.24, 2 Y 2.31, 1 Ca 2.41
20 O 0.2263 0.2919 0.2793  2 Y 2.34, 1 Ca 2.50
21 O 0.8645 0.6507 0.7228  2 Bi 2.21-2.45, 1 Y 2.37

Values from the calculation:
Its total magnetization is 0.0 μB/f.u. The formation energy is -2.651 eV per atom. As for the energy above the most stable polymorph in this dataset: 0.0000 eV per atom.


# 6
VASP calculation (GGA-PBE) on a geometry-optimized MgCu8O8 structure.

Cell lengths 5.8898, 2.8798, 12.3850 Å; angles 90.00, 94.11, 90.00 degrees
Last column: nearest neighbours and their distance in Å.
Fractional coordinates of all 17 atoms:
1 Cu 0.6663 0.2500 0.9094  4 O 1.90-1.91
2 O 0.0971 0.2500 0.3963  3 Cu 1.84-1.91
3 O 0.1294 0.2500 0.1024  3 Cu 1.83-1.89
4 O 0.8748 0.7500 0.9014  3 Cu 1.82-1.90
5 O 0.8673 0.7500 0.6040  1 Cu 1.88
6 Cu 0.3366 0.7500 0.0944  4 O 1.89-1.91
7 Cu 0.9027 0.7500 0.7558  2 O 1.82-1.88
8 Cu 0.1251 0.2500 0.5906  4 O 2.08-2.11
9 O 0.3809 0.7500 0.6020  3 Cu 1.88-2.08, 2 Mg 2.06
10 Mg 0.6118 0.2500 0.5623  5 O 2.01-2.12
11 Cu 0.1238 0.2500 0.2496  2 O 1.83-1.84
12 Cu 0.3838 0.7500 0.7542  2 O 1.83-1.88
13 Cu 0.5914 0.2500 0.2544  2 O 1.83-1.86
14 Cu 0.8828 0.7500 0.3962  4 O 1.91-1.95
15 O 0.4515 0.7500 0.9010  3 Cu 1.83-1.91
16 O 0.6602 0.2500 0.4030  3 Cu 1.86-1.95, 1 Mg 2.01
17 O 0.5499 0.2500 0.1062  3 Cu 1.83-1.91

Values from the calculation:
Its total magnetization is 1.2 μB/f.u. The formation energy is -0.987 eV per atom.


# 7
VASP calculation (GGA-PBE) on a geometry-optimized MgTe2Mo2W2Se4S2 structure.

Cell lengths 3.3365, 3.3365, 38.3575 Å; angles 90.00, 90.00, 120.00 degrees
Last column: nearest neighbours and their distance in Å.
Fractional coordinates of all 13 atoms:
1 W 0.6667 0.3334 0.2820  6 Se 2.55-2.56
2 Se 0.3334 0.6667 0.2382  3 W 2.56
3 S 0.6666 0.3332 0.5092  3 Mo 2.45
4 Mo 0.3333 0.6666 0.0937  6 Te 2.70-2.71
5 W 0.6667 0.3334 0.6576  6 Se 2.55-2.56
6 Te 0.6666 0.3333 0.1432  3 Mo 2.71
7 Mo 0.3333 0.6666 0.4697  6 S 2.45
8 Se 0.3334 0.6668 0.3257  3 W 2.55
9 Se 0.3334 0.6667 0.6138  3 W 2.56
10 S 0.6666 0.3332 0.4301  3 Mo 2.45
11 Se 0.3334 0.6667 0.7013  3 W 2.55
12 Mg 0.6439 0.3269 0.8669  6 Mg 3.34
13 Te 0.6666 0.3333 0.0442  3 Mo 2.70

Values from the calculation:
Its total magnetization is 0.0 μB/f.u. The formation energy is -0.506 eV per atom. As for the energy above the most stable polymorph in this dataset: 0.0401 eV per atom.


# 8
VASP calculation (GGA-PBE) on a geometry-optimized PaGaFe2 structure.

Cell lengths 4.4249, 4.4249, 4.4249 Å; angles 60.00, 60.00, 60.00 degrees
Last column: nearest neighbours and their distance in Å.
Fractional coordinates of all 4 atoms:
1 Ga 0.5000 0.5000 0.5000  8 Fe 2.71
2 Fe 0.7500 0.7500 0.7500  4 Pa 2.71, 4 Ga 2.71
3 Fe 0.2500 0.2500 0.2500  4 Pa 2.71, 4 Ga 2.71
4 Pa 0.0000 0.0000 0.0000  8 Fe 2.71

Values from the calculation:
The formation energy is -0.176 eV per atom.


# 9
VASP calculation (GGA-PBE) on a geometry-optimized IO3 structure.

Cell lengths 4.7471, 5.2111, 8.7263 Å; angles 90.00, 90.00, 90.00 degrees
Last column: nearest neighbours and their distance in Å.
Fractional coordinates of all 16 atoms:
1 O 0.5211 0.5944 0.3485  1 I 1.85
2 O 0.9789 0.4056 0.8485  1 I 1.85
3 O 0.5045 0.0462 0.8105  1 I 1.87
4 O 0.0045 0.4538 0.1895  1 I 1.87
5 I 0.2385 0.8162 0.1625  3 O 1.85-1.89
6 O 0.4817 0.0978 0.4901  1 I 1.89
7 O 0.5183 0.5978 0.0099  1 I 1.89
8 O 0.0211 0.9056 0.6515  1 I 1.85
9 O 0.0183 0.9022 0.9901  1 I 1.89
10 O 0.4955 0.5462 0.6895  1 I 1.87
11 O 0.9955 0.9538 0.3105  1 I 1.87
12 I 0.2615 0.1838 0.6625  3 O 1.85-1.89
13 I 0.7615 0.3162 0.3375  3 O 1.85-1.89
14 I 0.7385 0.6838 0.8375  3 O 1.85-1.89
15 O 0.4789 0.0944 0.1515  1 I 1.85
16 O 0.9817 0.4022 0.5099  1 I 1.89

Values from the calculation:
Its total magnetization is 0.0 μB/f.u. The formation energy is -0.496 eV per atom. As for the energy above the most stable polymorph in this dataset: 0.1130 eV per atom.


# 10
VASP calculation (GGA-PBE) on a geometry-optimized TlPO4 structure.

Cell lengths 4.9657, 4.9657, 7.2597 Å; angles 90.00, 90.00, 112.76 degrees
Last column: nearest neighbours and their distance in Å.
Fractional coordinates of all 12 atoms:
1 O 0.2550 0.7450 0.5684  1 P 1.54
2 O 0.7703 0.6949 0.2500  1 P 1.58
3 O 0.7450 0.2550 0.0684  1 P 1.54
4 O 0.2550 0.7450 0.9316  1 P 1.54
5 O 0.2297 0.3051 0.7500  1 P 1.58
6 O 0.3051 0.2297 0.2500  1 P 1.58
7 Tl 0.0000 0.0000 0.0000  6 O 2.17-2.36
8 P 0.6495 0.3505 0.2500  4 O 1.54-1.58
9 Tl 0.0000 0.0000 0.5000  6 O 2.17-2.36
10 P 0.3505 0.6495 0.7500  4 O 1.54-1.58
11 O 0.6949 0.7703 0.7500  1 P 1.58
12 O 0.7450 0.2550 0.4316  1 P 1.54

Values from the calculation:
The formation energy is -2.060 eV per atom.


# 11
VASP calculation (GGA-PBE) on a geometry-optimized Zr3Al2 structure.

Cell lengths 7.6710, 7.6710, 7.0068 Å; angles 90.00, 90.00, 90.00 degrees
Last column: nearest neighbours and their distance in Å.
Fractional coordinates of all 20 atoms:
1 Zr 0.1994 0.8006 0.0000  6 Al 2.80-2.94
2 Al 0.1210 0.1210 0.7870  1 Al 2.63, 4 Zr 2.80-2.94
3 Al 0.8790 0.8790 0.7870  1 Al 2.63, 4 Zr 2.80-2.94
4 Zr 0.8434 0.1566 0.5000  6 Al 2.84-2.94
5 Al 0.6210 0.3790 0.7130  1 Al 2.63, 4 Zr 2.80-2.94
6 Zr 0.5000 0.0000 0.2500  4 Al 3.06, 8 Zr 3.27-3.38
7 Zr 0.3434 0.3434 0.0000  6 Al 2.84-2.94
8 Al 0.6210 0.3790 0.2870  1 Al 2.63, 4 Zr 2.80-2.94
9 Al 0.3790 0.6210 0.2870  1 Al 2.63, 4 Zr 2.80-2.94
10 Al 0.1210 0.1210 0.2130  1 Al 2.63, 4 Zr 2.80-2.94
11 Zr 0.8006 0.1994 0.0000  6 Al 2.80-2.94
12 Zr 0.6566 0.6566 0.0000  6 Al 2.84-2.94
13 Zr 0.5000 0.0000 0.7500  4 Al 3.06, 8 Zr 3.27-3.38
14 Zr 0.3006 0.3006 0.5000  6 Al 2.80-2.94
15 Zr 0.0000 0.5000 0.2500  4 Al 3.06, 8 Zr 3.27-3.38
16 Zr 0.0000 0.5000 0.7500  4 Al 3.06, 8 Zr 3.27-3.38
17 Al 0.8790 0.8790 0.2130  1 Al 2.63, 4 Zr 2.80-2.94
18 Zr 0.6994 0.6994 0.5000  6 Al 2.80-2.94
19 Zr 0.1566 0.8434 0.5000  6 Al 2.84-2.94
20 Al 0.3790 0.6210 0.7130  1 Al 2.63, 4 Zr 2.80-2.94

Values from the calculation:
The formation energy is -0.402 eV per atom.


# 12
VASP calculation (GGA-PBE) on a geometry-optimized In2P3Se9 structure.

Cell lengths 6.5061, 8.1213, 15.3718 Å; angles 90.75, 102.02, 90.64 degrees
Last column: nearest neighbours and their distance in Å.
Fractional coordinates of all 28 atoms:
1 P 0.0286 0.3774 0.0350  3 Se 2.20-2.25, 1 P 2.27
2 P 0.9714 0.6226 0.9650  3 Se 2.20-2.25, 1 P 2.27
3 Se 0.3633 0.6419 0.3875  1 P 2.20
4 P 0.6501 0.9592 0.2967  3 Se 2.18-2.25, 1 P 2.28
5 In 0.4409 0.3759 0.8822  6 Se 2.79-2.94
6 Se 0.4170 0.9258 0.1730  1 P 2.18
7 Se 0.5363 0.1339 0.3910  1 P 2.25
8 Se 0.2463 0.4237 0.1635  1 P 2.20
9 Se 0.9622 0.0302 0.2745  1 P 2.20
10 In 0.7854 0.0622 0.5698  6 Se 2.72-2.95
11 Se 0.7059 0.3103 0.0562  1 P 2.25
12 P 0.3234 0.2878 0.6329  3 Se 2.18-2.26, 1 P 2.28
13 Se 0.0889 0.2420 0.5035  1 P 2.26
14 Se 0.9111 0.7580 0.4965  1 P 2.26
15 Se 0.7537 0.5763 0.8365  1 P 2.20
16 Se 0.8039 0.5374 0.2844  1 P 2.18
17 Se 0.0378 0.9698 0.7255  1 P 2.20
18 Se 0.2941 0.6897 0.9438  1 P 2.25
19 Se 0.1961 0.4626 0.7156  1 P 2.18
20 P 0.6766 0.7122 0.3671  3 Se 2.18-2.26, 1 P 2.28
21 Se 0.4637 0.8661 0.6090  1 P 2.25
22 Se 0.1281 0.2004 0.9427  1 P 2.20
23 In 0.2146 0.9378 0.4302  6 Se 2.72-2.95
24 Se 0.6367 0.3581 0.6125  1 P 2.20
25 Se 0.8719 0.7996 0.0573  1 P 2.20
26 Se 0.5830 0.0742 0.8270  1 P 2.18
27 P 0.3499 0.0408 0.7033  3 Se 2.18-2.25, 1 P 2.28
28 In 0.5591 0.6241 0.1178  6 Se 2.79-2.94

Values from the calculation:
Its total magnetization is 0.0 μB/f.u. The formation energy is -0.545 eV per atom. As for the energy above the most stable polymorph in this dataset: 0.0033 eV per atom.


# 13
VASP calculation (GGA-PBE) on a geometry-optimized HgC2O4 structure.

Cell lengths 5.3505, 5.1112, 6.7733 Å; angles 71.28, 90.00, 90.00 degrees
Last column: nearest neighbours and their distance in Å.
Fractional coordinates of all 14 atoms:
1 C 0.1275 0.9508 0.4679  2 O 1.24-1.30
2 C 0.8725 0.0492 0.5321  2 O 1.24-1.30
3 Hg 0.0000 0.5000 0.0000  2 O 2.13
4 O 0.6735 0.3073 0.9309  1 C 1.30
5 O 0.1735 0.6927 0.5691  1 C 1.30
6 O 0.3265 0.6927 0.0691  1 C 1.30
7 Hg 0.5000 0.5000 0.5000  2 O 2.13
8 C 0.6275 0.0492 0.0321  2 O 1.24-1.30
9 O 0.7381 0.8879 0.6661  1 C 1.24
10 C 0.3725 0.9508 0.9679  2 O 1.24-1.30
11 O 0.8265 0.3073 0.4309  1 C 1.30
12 O 0.2619 0.1121 0.3339  1 C 1.24
13 O 0.2381 0.1121 0.8339  1 C 1.24
14 O 0.7619 0.8879 0.1661  1 C 1.24

Values from the calculation:
Its total magnetization is 0.0 μB/f.u. The formation energy is -1.267 eV per atom.


Number 1: uncorrected energy -474.222 eV/cell. Number 2: uncorrected energy -85.430 eV/cell. Number 3: uncorrected energy -15.412 eV/cell. Number 4: uncorrected energy -11.207 eV/cell. Number 5: uncorrected energy -150.232 eV/cell. Number 6: uncorrected energy -85.253 eV/cell. Number 7: uncorrected energy -83.324 eV/cell. Number 8: uncorrected energy -30.187 eV/cell. Number 9: uncorrected energy -65.169 eV/cell. Number 10: uncorrected energy -74.362 eV/cell. Number 11: uncorrected energy -140.576 eV/cell. Number 12: uncorrected energy -113.183 eV/cell. Number 13: uncorrected energy -89.343 eV/cell.